# 1
Below is a geometry-optimized CeNdN2 structure, with properties calculated at the r2SCAN level.

Properties
* V: 16.69 Å³ per atom
* ΔE_f: -1.707 eV/atom

```
data_CeNdN2
_space_group_name_H-M_alt 'P 1'
_space_group_IT_number 1
_cell_length_a 6.262
_cell_length_b 6.262
_cell_length_c 6.262
_cell_angle_alpha 33.54
_cell_angle_beta 33.54
_cell_angle_gamma 33.54
loop_
_space_group_symop_operation_xyz
'x,y,z'
loop_
_atom_site_label
_atom_site_type_symbol
_atom_site_fract_x
_atom_site_fract_y
_atom_site_fract_z
Ce1 Ce 0.000 0.000 0.000
Nd1 Nd 0.500 0.500 0.500
N1 N 0.254 0.254 0.254
N2 N 0.746 0.746 0.746
```

=====

# 2
Below is a geometry-optimized KSrPO4 structure, with properties calculated at the r2SCAN level.

Properties
* V: 14.00 Å³ per atom
* ΔE_f: -2.925 eV/atom

```
data_KSrPO4
_space_group_name_H-M_alt 'P 1'
_space_group_IT_number 1
_cell_length_a 7.342
_cell_length_b 5.546
_cell_length_c 9.627
_cell_angle_alpha 90.00
_cell_angle_beta 90.00
_cell_angle_gamma 90.00
loop_
_space_group_symop_operation_xyz
'x,y,z'
loop_
_atom_site_label
_atom_site_type_symbol
_atom_site_fract_x
_atom_site_fract_y
_atom_site_fract_z
K1 K 0.156 0.250 0.084
K2 K 0.344 0.750 0.584
K3 K 0.656 0.250 0.416
K4 K 0.844 0.750 0.916
Sr1 Sr 0.003 0.750 0.304
Sr2 Sr 0.497 0.250 0.804
Sr3 Sr 0.503 0.750 0.196
Sr4 Sr 0.997 0.250 0.696
P1 P 0.228 0.250 0.417
P2 P 0.272 0.750 0.917
P3 P 0.728 0.250 0.083
P4 P 0.772 0.750 0.583
O1 O 0.019 0.250 0.423
O2 O 0.194 0.750 0.066
O3 O 0.207 0.522 0.840
O4 O 0.207 0.978 0.840
O5 O 0.293 0.022 0.340
O6 O 0.293 0.478 0.340
O7 O 0.306 0.250 0.566
O8 O 0.481 0.750 0.923
O9 O 0.519 0.250 0.077
O10 O 0.694 0.750 0.434
O11 O 0.707 0.522 0.660
O12 O 0.707 0.978 0.660
O13 O 0.793 0.022 0.160
O14 O 0.793 0.478 0.160
O15 O 0.806 0.250 0.934
O16 O 0.981 0.750 0.577
```

=====

# 3
Below is a geometry-optimized NdCrS3 structure, with properties calculated at the r2SCAN level.

Properties
* V: 19.29 Å³ per atom
* ΔE_f: -1.709 eV/atom

```
data_NdCrS3
_space_group_name_H-M_alt 'P 1'
_space_group_IT_number 1
_cell_length_a 7.815
_cell_length_b 3.782
_cell_length_c 13.054
_cell_angle_alpha 90.00
_cell_angle_beta 90.00
_cell_angle_gamma 90.00
loop_
_space_group_symop_operation_xyz
'x,y,z'
loop_
_atom_site_label
_atom_site_type_symbol
_atom_site_fract_x
_atom_site_fract_y
_atom_site_fract_z
Nd1 Nd 0.089 0.250 0.172
Nd2 Nd 0.411 0.750 0.672
Nd3 Nd 0.589 0.250 0.328
Nd4 Nd 0.911 0.750 0.828
Cr1 Cr 0.161 0.750 0.448
Cr2 Cr 0.339 0.250 0.948
Cr3 Cr 0.661 0.750 0.052
Cr4 Cr 0.839 0.250 0.552
S1 S 0.012 0.750 0.607
S2 S 0.161 0.750 0.007
S3 S 0.194 0.250 0.788
S4 S 0.306 0.750 0.288
S5 S 0.339 0.250 0.507
S6 S 0.488 0.250 0.107
S7 S 0.512 0.750 0.893
S8 S 0.661 0.750 0.493
S9 S 0.694 0.250 0.712
S10 S 0.806 0.750 0.212
S11 S 0.839 0.250 0.993
S12 S 0.988 0.250 0.393
```

=====

# 4
Below is a geometry-optimized Er2In structure, with properties calculated at the r2SCAN level.

Properties
* V: 27.03 Å³ per atom
* ΔE_f: -0.459 eV/atom

```
data_Er2In
_space_group_name_H-M_alt 'P 1'
_space_group_IT_number 1
_cell_length_a 5.308
_cell_length_b 5.308
_cell_length_c 6.645
_cell_angle_alpha 90.00
_cell_angle_beta 90.00
_cell_angle_gamma 120.00
loop_
_space_group_symop_operation_xyz
'x,y,z'
loop_
_atom_site_label
_atom_site_type_symbol
_atom_site_fract_x
_atom_site_fract_y
_atom_site_fract_z
Er1 Er 0.000 0.000 0.000
Er2 Er 0.000 0.000 0.500
Er3 Er 0.333 0.667 0.250
Er4 Er 0.667 0.333 0.750
In1 In 0.333 0.667 0.750
In2 In 0.667 0.333 0.250
```

=====

# 5
Below is a geometry-optimized ThCl4 structure, with properties calculated at the r2SCAN level.

Properties
* V: 27.23 Å³ per atom
* ΔE_f: -2.420 eV/atom

```
data_ThCl4
_space_group_name_H-M_alt 'P 1'
_space_group_IT_number 1
_cell_length_a 7.944
_cell_length_b 7.944
_cell_length_c 7.944
_cell_angle_alpha 131.88
_cell_angle_beta 131.88
_cell_angle_gamma 70.42
loop_
_space_group_symop_operation_xyz
'x,y,z'
loop_
_atom_site_label
_atom_site_type_symbol
_atom_site_fract_x
_atom_site_fract_y
_atom_site_fract_z
Th1 Th 0.375 0.125 0.250
Th2 Th 0.625 0.875 0.750
Cl1 Cl 0.037 0.169 0.303
Cl2 Cl 0.233 0.537 0.368
Cl3 Cl 0.331 0.134 0.868
Cl4 Cl 0.366 0.733 0.197
Cl5 Cl 0.634 0.267 0.803
Cl6 Cl 0.669 0.866 0.132
Cl7 Cl 0.767 0.463 0.632
Cl8 Cl 0.963 0.831 0.697
```

=====

# 6
Below is a geometry-optimized Ho12InPt7 structure, with properties calculated at the r2SCAN level.

Properties
* V: 23.73 Å³ per atom
* ΔE_f: -1.137 eV/atom

```
data_Ho12InPt7
_space_group_name_H-M_alt 'P 1'
_space_group_IT_number 1
_cell_length_a 10.845
_cell_length_b 10.845
_cell_length_c 10.845
_cell_angle_alpha 115.92
_cell_angle_beta 115.92
_cell_angle_gamma 97.23
loop_
_space_group_symop_operation_xyz
'x,y,z'
loop_
_atom_site_label
_atom_site_type_symbol
_atom_site_fract_x
_atom_site_fract_y
_atom_site_fract_z
Ho1 Ho 0.062 0.928 0.281
Ho2 Ho 0.072 0.353 0.134
Ho3 Ho 0.134 0.634 0.500
Ho4 Ho 0.147 0.428 0.866
Ho5 Ho 0.177 0.323 0.500
Ho6 Ho 0.219 0.938 0.866
Ho7 Ho 0.281 0.147 0.719
Ho8 Ho 0.323 0.823 0.146
Ho9 Ho 0.353 0.219 0.281
Ho10 Ho 0.366 0.866 0.500
Ho11 Ho 0.428 0.562 0.281
Ho12 Ho 0.438 0.719 0.866
Ho13 Ho 0.562 0.281 0.134
Ho14 Ho 0.572 0.438 0.719
Ho15 Ho 0.634 0.134 0.500
Ho16 Ho 0.647 0.781 0.719
Ho17 Ho 0.677 0.177 0.854
Ho18 Ho 0.719 0.853 0.281
Ho19 Ho 0.781 0.062 0.134
Ho20 Ho 0.823 0.677 0.500
Ho21 Ho 0.853 0.572 0.134
Ho22 Ho 0.866 0.366 0.500
Ho23 Ho 0.928 0.647 0.866
Ho24 Ho 0.938 0.072 0.719
In1 In 0.000 0.000 0.000
In2 In 0.500 0.500 0.000
Pt1 Pt 0.020 0.863 0.500
Pt2 Pt 0.127 0.627 0.755
Pt3 Pt 0.137 0.637 0.157
Pt4 Pt 0.250 0.250 0.000
Pt5 Pt 0.363 0.520 0.500
Pt6 Pt 0.373 0.127 0.500
Pt7 Pt 0.480 0.980 0.843
Pt8 Pt 0.520 0.020 0.157
Pt9 Pt 0.627 0.873 0.500
Pt10 Pt 0.637 0.480 0.500
Pt11 Pt 0.750 0.750 0.000
Pt12 Pt 0.863 0.363 0.843
Pt13 Pt 0.873 0.373 0.245
Pt14 Pt 0.980 0.137 0.500
```

=====

# 7
Below is a geometry-optimized La6Mg23Si structure, with properties calculated at the r2SCAN level.

Properties
* V: 26.15 Å³ per atom
* ΔE_f: -0.174 eV/atom

```
data_La6Mg23Si
_space_group_name_H-M_alt 'P 1'
_space_group_IT_number 1
_cell_length_a 10.352
_cell_length_b 10.352
_cell_length_c 10.352
_cell_angle_alpha 60.00
_cell_angle_beta 60.00
_cell_angle_gamma 60.00
loop_
_space_group_symop_operation_xyz
'x,y,z'
loop_
_atom_site_label
_atom_site_type_symbol
_atom_site_fract_x
_atom_site_fract_y
_atom_site_fract_z
La1 La 0.206 0.206 0.794
La2 La 0.206 0.794 0.206
La3 La 0.206 0.794 0.794
La4 La 0.794 0.206 0.206
La5 La 0.794 0.206 0.794
La6 La 0.794 0.794 0.206
Mg1 Mg 0.000 0.000 0.500
Mg2 Mg 0.000 0.500 0.000
Mg3 Mg 0.000 0.500 0.500
Mg4 Mg 0.132 0.623 0.623
Mg5 Mg 0.172 0.172 0.172
Mg6 Mg 0.172 0.172 0.483
Mg7 Mg 0.172 0.483 0.172
Mg8 Mg 0.377 0.377 0.377
Mg9 Mg 0.377 0.377 0.868
Mg10 Mg 0.377 0.868 0.377
Mg11 Mg 0.483 0.172 0.172
Mg12 Mg 0.500 0.000 0.000
Mg13 Mg 0.500 0.000 0.500
Mg14 Mg 0.500 0.500 0.000
Mg15 Mg 0.500 0.500 0.500
Mg16 Mg 0.517 0.828 0.828
Mg17 Mg 0.623 0.132 0.623
Mg18 Mg 0.623 0.623 0.132
Mg19 Mg 0.623 0.623 0.623
Mg20 Mg 0.828 0.517 0.828
Mg21 Mg 0.828 0.828 0.517
Mg22 Mg 0.828 0.828 0.828
Mg23 Mg 0.868 0.377 0.377
Si1 Si 0.000 0.000 0.000
```

=====

# 8
Below is a geometry-optimized PrMgIn structure, with properties calculated at the r2SCAN level.

Properties
* V: 27.69 Å³ per atom
* ΔE_f: -0.526 eV/atom

```
data_PrMgIn
_space_group_name_H-M_alt 'P 1'
_space_group_IT_number 1
_cell_length_a 7.745
_cell_length_b 7.745
_cell_length_c 4.797
_cell_angle_alpha 90.00
_cell_angle_beta 90.00
_cell_angle_gamma 120.00
loop_
_space_group_symop_operation_xyz
'x,y,z'
loop_
_atom_site_label
_atom_site_type_symbol
_atom_site_fract_x
_atom_site_fract_y
_atom_site_fract_z
Pr1 Pr 0.000 0.571 0.000
Pr2 Pr 0.429 0.429 0.000
Pr3 Pr 0.571 0.000 0.000
Mg1 Mg 0.000 0.241 0.500
Mg2 Mg 0.241 0.000 0.500
Mg3 Mg 0.759 0.759 0.500
In1 In 0.000 0.000 0.000
In2 In 0.333 0.667 0.500
In3 In 0.667 0.333 0.500
```

=====

# 9
Below is a geometry-optimized MgH11C5NO6 structure, with properties calculated at the r2SCAN level.

Properties
* V: 8.64 Å³ per atom
* ΔE_f: -0.842 eV/atom

```
data_MgH11C5NO6
_space_group_name_H-M_alt 'P 1'
_space_group_IT_number 1
_cell_length_a 8.772
_cell_length_b 8.092
_cell_length_c 11.681
_cell_angle_alpha 90.00
_cell_angle_beta 90.00
_cell_angle_gamma 90.00
loop_
_space_group_symop_operation_xyz
'x,y,z'
loop_
_atom_site_label
_atom_site_type_symbol
_atom_site_fract_x
_atom_site_fract_y
_atom_site_fract_z
Mg1 Mg 0.035 0.002 0.000
Mg2 Mg 0.465 0.502 0.500
Mg3 Mg 0.535 0.498 0.000
Mg4 Mg 0.965 0.998 0.500
H1 H 0.006 0.322 0.710
H2 H 0.016 0.081 0.743
H3 H 0.068 0.496 0.632
H4 H 0.079 0.468 0.894
H5 H 0.119 0.342 0.224
H6 H 0.155 0.633 0.812
H7 H 0.159 0.303 0.462
H8 H 0.176 0.505 0.308
H9 H 0.203 0.512 0.165
H10 H 0.233 0.766 0.562
H11 H 0.235 0.432 0.803
H12 H 0.265 0.932 0.303
H13 H 0.267 0.266 0.062
H14 H 0.297 0.012 0.665
H15 H 0.324 0.005 0.808
H16 H 0.341 0.803 0.962
H17 H 0.345 0.133 0.312
H18 H 0.381 0.842 0.724
H19 H 0.421 0.968 0.394
H20 H 0.432 0.996 0.132
H21 H 0.484 0.581 0.243
H22 H 0.494 0.822 0.210
H23 H 0.506 0.178 0.710
H24 H 0.516 0.419 0.743
H25 H 0.568 0.004 0.632
H26 H 0.579 0.032 0.894
H27 H 0.619 0.158 0.224
H28 H 0.655 0.867 0.812
H29 H 0.659 0.197 0.462
H30 H 0.676 0.995 0.308
H31 H 0.703 0.988 0.165
H32 H 0.733 0.734 0.562
H33 H 0.735 0.068 0.803
H34 H 0.765 0.568 0.303
H35 H 0.767 0.234 0.062
H36 H 0.797 0.488 0.665
H37 H 0.824 0.495 0.808
H38 H 0.841 0.697 0.962
H39 H 0.845 0.367 0.312
H40 H 0.881 0.658 0.724
H41 H 0.921 0.532 0.394
H42 H 0.932 0.504 0.132
H43 H 0.984 0.919 0.243
H44 H 0.994 0.678 0.210
C1 C 0.011 0.051 0.250
C2 C 0.024 0.455 0.715
C3 C 0.129 0.501 0.812
C4 C 0.189 0.720 0.480
C5 C 0.226 0.235 0.526
C6 C 0.274 0.735 0.026
C7 C 0.311 0.220 0.980
C8 C 0.371 0.001 0.312
C9 C 0.476 0.955 0.215
C10 C 0.489 0.551 0.750
C11 C 0.511 0.449 0.250
C12 C 0.524 0.045 0.715
C13 C 0.629 0.999 0.812
C14 C 0.689 0.780 0.480
C15 C 0.726 0.265 0.526
C16 C 0.774 0.765 0.026
C17 C 0.811 0.280 0.980
C18 C 0.871 0.499 0.312
C19 C 0.976 0.545 0.215
C20 C 0.989 0.949 0.750
N1 N 0.130 0.469 0.229
N2 N 0.370 0.969 0.729
N3 N 0.630 0.031 0.229
N4 N 0.870 0.531 0.729
O1 O 0.001 0.118 0.346
O2 O 0.051 0.125 0.159
O3 O 0.075 0.789 0.436
O4 O 0.151 0.797 0.062
O5 O 0.173 0.097 0.560
O6 O 0.241 0.097 0.937
O7 O 0.259 0.597 0.437
O8 O 0.327 0.597 0.060
O9 O 0.349 0.297 0.562
O10 O 0.425 0.289 0.936
O11 O 0.449 0.625 0.659
O12 O 0.499 0.618 0.846
O13 O 0.501 0.382 0.346
O14 O 0.551 0.375 0.159
O15 O 0.575 0.711 0.436
O16 O 0.651 0.703 0.062
O17 O 0.673 0.403 0.560
O18 O 0.741 0.403 0.937
O19 O 0.759 0.903 0.437
O20 O 0.827 0.903 0.060
O21 O 0.849 0.203 0.562
O22 O 0.925 0.211 0.936
O23 O 0.949 0.875 0.659
O24 O 0.999 0.882 0.846
```

=====

# 10
Below is a geometry-optimized CsSeBr3 structure, with properties calculated at the r2SCAN level.

Properties
* V: 38.85 Å³ per atom
* ΔE_f: -0.886 eV/atom

```
data_CsSeBr3
_space_group_name_H-M_alt 'P 1'
_space_group_IT_number 1
_cell_length_a 5.535
_cell_length_b 9.007
_cell_length_c 7.920
_cell_angle_alpha 90.00
_cell_angle_beta 100.25
_cell_angle_gamma 90.00
loop_
_space_group_symop_operation_xyz
'x,y,z'
loop_
_atom_site_label
_atom_site_type_symbol
_atom_site_fract_x
_atom_site_fract_y
_atom_site_fract_z
Cs1 Cs 0.194 0.000 0.152
Cs2 Cs 0.806 0.500 0.848
Se1 Se 0.017 0.741 0.494
Se2 Se 0.983 0.241 0.506
Br1 Br 0.217 0.511 0.424
Br2 Br 0.289 0.239 0.796
Br3 Br 0.304 0.762 0.791
Br4 Br 0.696 0.262 0.209
Br5 Br 0.711 0.739 0.204
Br6 Br 0.783 0.011 0.576
```

=====

# 11
Below is a geometry-optimized UGe2 structure, with properties calculated at the r2SCAN level.

Properties
* V: 21.17 Å³ per atom
* ΔE_f: -0.396 eV/atom

```
data_UGe2
_space_group_name_H-M_alt 'P 1'
_space_group_IT_number 1
_cell_length_a 7.808
_cell_length_b 7.808
_cell_length_c 4.171
_cell_angle_alpha 90.00
_cell_angle_beta 90.00
_cell_angle_gamma 150.03
loop_
_space_group_symop_operation_xyz
'x,y,z'
loop_
_atom_site_label
_atom_site_type_symbol
_atom_site_fract_x
_atom_site_fract_y
_atom_site_fract_z
U1 U 0.144 0.856 0.000
U2 U 0.856 0.144 0.000
Ge1 Ge 0.000 0.000 0.500
Ge2 Ge 0.305 0.695 0.500
Ge3 Ge 0.500 0.500 0.000
Ge4 Ge 0.695 0.305 0.500
```

=====

# 12
Below is a geometry-optimized Na4Ni5O10 structure, with properties calculated at the r2SCAN level.

Properties
* V: 10.07 Å³ per atom
* ΔE_f: -1.378 eV/atom

```
data_Na4Ni5O10
_space_group_name_H-M_alt 'P 1'
_space_group_IT_number 1
_cell_length_a 5.106
_cell_length_b 6.239
_cell_length_c 6.824
_cell_angle_alpha 109.79
_cell_angle_beta 96.37
_cell_angle_gamma 106.11
loop_
_space_group_symop_operation_xyz
'x,y,z'
loop_
_atom_site_label
_atom_site_type_symbol
_atom_site_fract_x
_atom_site_fract_y
_atom_site_fract_z
Na1 Na 0.100 0.193 0.189
Na2 Na 0.315 0.621 0.625
Na3 Na 0.685 0.379 0.375
Na4 Na 0.900 0.807 0.811
Ni1 Ni 0.101 0.699 0.204
Ni2 Ni 0.297 0.098 0.598
Ni3 Ni 0.500 0.500 0.000
Ni4 Ni 0.703 0.902 0.402
Ni5 Ni 0.899 0.301 0.796
O1 O 0.018 0.777 0.478
O2 O 0.171 0.615 0.927
O3 O 0.189 0.183 0.860
O4 O 0.371 0.011 0.326
O5 O 0.398 0.593 0.288
O6 O 0.602 0.407 0.712
O7 O 0.629 0.989 0.674
O8 O 0.811 0.817 0.140
O9 O 0.829 0.385 0.073
O10 O 0.982 0.223 0.522
```

=====

The lowest V belongs to which entry? MgH11C5NO6

=====

Which of these has the lowest ΔE_f? KSrPO4

=====

Which of these has the lowest V? MgH11C5NO6

=====

V of number 1 (CeNdN2)? 16.69 Å³ per atom